This record from the Materials Project database describes a relaxed structure of Al2CdS4. The functional is PBE.

Output
E: -4.5124 eV per atom
total moment: 0.00 μB/f.u.
symmetry: No. 227
formation energy: -1.234 eV/atom

a = 7.336 Å, b = 7.336 Å, c = 7.336 Å
α = 60.00°, β = 60.00°, γ = 60.00°
Element x y z (fractional)
Al (0.125, 0.125, 0.625)
Al (0.125, 0.625, 0.125)
Al (0.125, 0.125, 0.125)
Al (0.625, 0.125, 0.125)
Cd (0.500, 0.500, 0.500)
Cd (0.750, 0.750, 0.750)
S (0.331, 0.890, 0.890)
S (0.360, 0.360, 0.360)
S (0.890, 0.890, 0.890)
S (0.919, 0.360, 0.360)
S (0.360, 0.919, 0.360)
S (0.360, 0.360, 0.919)
S (0.890, 0.331, 0.890)
S (0.890, 0.890, 0.331)